Entry 1:
La2Ge3O9 PBE optimized geometry; space group = P-1
1.0
5.803 0.000 0.000
-0.194 7.806 0.000
-2.802 -2.814 7.976
Ge O La
6 18 4
direct
0.662 0.518 0.339
0.763 0.488 0.999
0.573 0.927 0.146
0.427 0.073 0.854
0.338 0.482 0.661
0.237 0.512 0.001
0.709 0.005 0.999
0.012 0.676 0.045
0.422 0.973 0.305
0.291 0.995 0.001
0.350 0.534 0.233
0.129 0.513 0.776
0.469 0.327 0.954
0.650 0.466 0.767
0.610 0.324 0.386
0.390 0.676 0.614
0.578 0.027 0.695
0.531 0.673 0.046
0.871 0.487 0.224
0.812 0.722 0.496
0.880 0.989 0.301
0.120 0.011 0.699
0.188 0.278 0.504
0.988 0.324 0.955
0.866 0.800 0.781
0.193 0.820 0.418
0.134 0.200 0.219
0.807 0.180 0.582

Entry 2:
HfHg3Se2Cl6 PBE optimized geometry; spin magnetization = 0.00 Bohr magnetons per cell; space group = P2_1/c
1.0
7.728 0.000 0.000
0.000 6.755 0.000
0.000 0.418 13.473
Cl Hf Se Hg
12 2 4 6
direct
0.550 0.648 0.662
0.225 0.364 0.565
0.148 0.806 0.942
0.852 0.194 0.058
0.275 0.364 0.065
0.648 0.194 0.558
0.450 0.352 0.338
0.725 0.636 0.935
0.352 0.806 0.442
0.950 0.648 0.162
0.775 0.636 0.435
0.050 0.352 0.838
0.500 0.500 0.500
0.000 0.500 0.000
0.037 0.820 0.669
0.537 0.180 0.831
0.463 0.820 0.169
0.963 0.180 0.331
0.795 0.994 0.762
0.500 0.000 0.000
0.000 0.000 0.500
0.705 0.994 0.262
0.295 0.006 0.738
0.205 0.006 0.238

Entry 3:
NpC4O8 PBE optimized geometry; spin magnetization = 6.95 Bohr magnetons per cell; space group = I-4
1.0
6.052 -1.787 2.866
-6.002 -0.632 3.406
-0.661 -4.416 -5.300
O C Np
8 4 1
direct
0.159 0.424 0.204
0.452 0.364 0.301
0.045 0.841 0.265
0.849 0.548 0.913
0.576 0.780 0.735
0.220 0.955 0.796
0.063 0.151 0.699
0.636 0.937 0.087
0.375 0.490 0.311
0.510 0.820 0.884
0.180 0.064 0.689
0.936 0.625 0.116
0.000 0.000 0.000

Number 1: energy relative to the elements -2825 meV/atom. Number 2: energy relative to the elements -1352 meV/atom. Number 3: energy relative to the elements -1292 meV/atom.